Here is a relaxed structure of TbHoCo4 from the Materials Project database. Energies are from PBE.

The value obtained for the volume is 358 Å³ per cell. The formation enthalpy at 0 K comes out at -1.192 eV/f.u. As for the uncorrected energy: -6.4737 eV/atom.

Geometry as CIF:
```
data_TbHoCo4
_chemical_formula_sum 'Tb4 Ho4 Co16'
_symmetry_space_group_name_H-M 'F -4 3 m'
_symmetry_Int_Tables_number 216
_symmetry_space_group_name_Hall 'F -4 2 3'
_cell_length_a 7.1031
_cell_length_b 7.1031
_cell_length_c 7.1031
_cell_angle_alpha 90.00
_cell_angle_beta 90.00
_cell_angle_gamma 90.00
loop_
_atom_site_label
_atom_site_fract_x
_atom_site_fract_y
_atom_site_fract_z
Tb1 0.0000 0.0000 0.0000
Ho1 0.2500 0.2500 0.2500
Co1 0.1249 0.1249 0.6249
```

***

Here is a relaxed structure of SrSb2O6 from the Materials Project database. Energies are from PBE.

The value obtained for the volume is 1110 Å³ per cell. The formation enthalpy at 0 K comes out at -20.171 eV/f.u. As for the uncorrected energy: -6.1871 eV/atom. For the size of the total moment, the calculation gives 0.01 Bohr magnetons per cell. For the distance to the lowest polymorph of the same formula, the calculation gives 145 meV/atom. The MP2020-corrected energy is -6.65 eV/atom.

Geometry as CIF:
```
data_SrSb2O6
_chemical_formula_sum 'Sr8 Sb16 O48'
_symmetry_space_group_name_H-M 'C 1 2/c 1'
_symmetry_Int_Tables_number 15
_symmetry_space_group_name_Hall '-C 2yc'
_cell_length_a 12.5949
_cell_length_b 7.4138
_cell_length_c 12.5983
_cell_angle_alpha 90.00
_cell_angle_beta 109.28
_cell_angle_gamma 90.00
loop_
_atom_site_label
_atom_site_fract_x
_atom_site_fract_y
_atom_site_fract_z
Sr1 0.2091 0.1082 0.2824
Sb1 0.0000 0.0000 0.0000
Sb2 0.0000 0.2571 0.7500
Sb3 0.0000 0.5000 0.0000
Sb4 0.2500 0.2500 0.0000
O1 0.0303 0.0505 0.6620
O2 0.0369 0.2500 0.4624
O3 0.0549 0.4438 0.6670
O4 0.1638 0.4568 0.0291
O5 0.1647 0.0647 0.0556
O6 0.1659 0.2229 0.8341
```

***

Here is a relaxed structure of LiSb3TeClO6 from the Materials Project database. Energies are from PBE.

The value obtained for the volume is 335 Å³ per cell. The formation enthalpy at 0 K comes out at -17.918 eV/f.u. As for the uncorrected energy: -5.2309 eV/atom. For the size of the total moment, the calculation gives 1.00 Bohr magnetons per cell. For the distance to the lowest polymorph of the same formula, the calculation gives 0 meV/atom. The MP2020-corrected energy is -5.57 eV/atom.

Geometry as CIF:
```
data_LiSb3TeClO6
_chemical_formula_sum 'Li1 Sb3 Te1 Cl1 O6'
_symmetry_space_group_name_H-M 'P 1'
_symmetry_Int_Tables_number 1
_symmetry_space_group_name_Hall 'P 1'
_cell_length_a 4.2393
_cell_length_b 9.4885
_cell_length_c 9.5473
_cell_angle_alpha 117.52
_cell_angle_beta 90.16
_cell_angle_gamma 99.17
loop_
_atom_site_label
_atom_site_fract_x
_atom_site_fract_y
_atom_site_fract_z
Li1 0.0000 0.0000 0.0000
Sb1 0.1508 0.3983 0.0387
Sb2 0.1624 0.4001 0.4167
Sb3 0.7450 0.6746 0.0315
Te1 0.8002 0.6876 0.6805
Cl1 0.5304 0.0882 0.0730
O1 0.1892 0.4968 0.2723
O2 0.2235 0.6260 0.6169
O3 0.2270 0.6115 0.0314
O4 0.6741 0.4631 0.4786
O5 0.6747 0.4664 0.0423
O6 0.6871 0.5601 0.7916
```

***

Here is a relaxed structure of Ho2RuPt from the Materials Project database. Energies are from PBE.

The value obtained for the volume is 323 Å³ per cell. The formation enthalpy at 0 K comes out at -3.266 eV/f.u. As for the uncorrected energy: -6.9442 eV/atom.

Geometry as CIF:
```
data_Ho2RuPt
_chemical_formula_sum 'Ho8 Ru4 Pt4'
_symmetry_space_group_name_H-M 'F m -3 m'
_symmetry_Int_Tables_number 225
_symmetry_space_group_name_Hall '-F 4 2 3'
_cell_length_a 6.8638
_cell_length_b 6.8638
_cell_length_c 6.8638
_cell_angle_alpha 90.00
_cell_angle_beta 90.00
_cell_angle_gamma 90.00
loop_
_atom_site_label
_atom_site_fract_x
_atom_site_fract_y
_atom_site_fract_z
Ho1 0.2500 0.2500 0.2500
Ru1 0.0000 0.0000 0.0000
Pt1 0.0000 0.0000 0.5000
```

***

Here is a relaxed structure of InH4S2NO8 from the Materials Project database. Energies are from PBE.

The value obtained for the volume is 998 Å³ per cell. The formation enthalpy at 0 K comes out at -12.795 eV/f.u. As for the uncorrected energy: -4.9884 eV/atom. For the size of the total moment, the calculation gives 16.00 Bohr magnetons per cell. The MP2020-corrected energy is -5.33 eV/atom.

Geometry as CIF:
```
data_InH4S2NO8
_chemical_formula_sum 'In4 H16 S8 N4 O32'
_symmetry_space_group_name_H-M 'P 1 21 1'
_symmetry_Int_Tables_number 4
_symmetry_space_group_name_Hall 'P 2yb'
_cell_length_a 9.2566
_cell_length_b 10.6492
_cell_length_c 10.2010
_cell_angle_alpha 90.00
_cell_angle_beta 96.96
_cell_angle_gamma 90.00
loop_
_atom_site_label
_atom_site_fract_x
_atom_site_fract_y
_atom_site_fract_z
In1 0.1229 0.0000 0.3708
In2 0.3730 0.2490 0.7243
H1 0.0181 0.2086 0.8627
H2 0.0862 0.1819 0.1999
H3 0.2535 0.6868 0.0996
H4 0.2747 0.9128 0.3799
H5 0.3054 0.6617 0.5193
H6 0.3346 0.8616 0.9428
H7 0.4104 0.1875 0.0737
H8 0.4698 0.1518 0.8329
S1 0.0175 0.2348 0.5451
S2 0.1160 0.3906 0.9110
S3 0.3920 0.9913 0.0985
S4 0.4593 0.1702 0.4610
N1 0.2415 0.9070 0.6921
N2 0.2504 0.4633 0.3333
O1 0.0078 0.1603 0.4166
O2 0.0148 0.3703 0.5093
O3 0.0264 0.2663 0.9384
O4 0.0454 0.4479 0.7876
O5 0.1023 0.6997 0.3815
O6 0.1136 0.4640 0.0280
O7 0.1617 0.2007 0.6231
O8 0.2399 0.0148 0.0998
O9 0.2638 0.3469 0.8869
O10 0.3577 0.1726 0.3411
O11 0.3856 0.6683 0.5925
O12 0.4167 0.9195 0.9658
O13 0.4479 0.0643 0.5496
O14 0.4556 0.2916 0.5393
O15 0.4726 0.9276 0.2086
O16 0.4774 0.1156 0.0755
```

***

Here is a relaxed structure of SiO2 from the Materials Project database. Energies are from PBE.

The value obtained for the volume is 2479 Å³ per cell. The formation enthalpy at 0 K comes out at -9.707 eV/f.u. As for the uncorrected energy: -7.8846 eV/atom. For the size of the total moment, the calculation gives 0.01 Bohr magnetons per cell. The MP2020-corrected energy is -8.34 eV/atom.

Geometry as CIF:
```
data_SiO2
_chemical_formula_sum 'Si36 O72'
_symmetry_space_group_name_H-M 'P b c n'
_symmetry_Int_Tables_number 60
_symmetry_space_group_name_Hall '-P 2n 2ab'
_cell_length_a 14.8484
_cell_length_b 8.7170
_cell_length_c 19.1509
_cell_angle_alpha 90.00
_cell_angle_beta 90.00
_cell_angle_gamma 90.00
loop_
_atom_site_label
_atom_site_fract_x
_atom_site_fract_y
_atom_site_fract_z
Si1 0.0000 0.1720 0.2500
Si2 0.0077 0.0804 0.1011
Si3 0.1292 0.1211 0.9746
Si4 0.1316 0.2957 0.3513
Si5 0.2191 0.4095 0.9100
O1 0.0312 0.0644 0.1843
O2 0.0439 0.0746 0.9248
O3 0.0599 0.2281 0.4090
O4 0.0847 0.2798 0.2743
O5 0.0992 0.1070 0.0563
O6 0.1535 0.4739 0.3674
O7 0.1578 0.2970 0.9582
O8 0.2135 0.0064 0.9604
O9 0.2234 0.1925 0.3539
```

***

Here is a relaxed structure of TmGe from the Materials Project database. Energies are from PBE.

The value obtained for the volume is 176 Å³ per cell. The formation enthalpy at 0 K comes out at -1.678 eV/f.u. As for the uncorrected energy: -5.3883 eV/atom.

Geometry as CIF:
```
data_TmGe
_chemical_formula_sum 'Tm4 Ge4'
_symmetry_space_group_name_H-M 'C m c m'
_symmetry_Int_Tables_number 63
_symmetry_space_group_name_Hall '-C 2c 2'
_cell_length_a 4.2329
_cell_length_b 10.6010
_cell_length_c 3.9127
_cell_angle_alpha 90.00
_cell_angle_beta 90.00
_cell_angle_gamma 90.00
loop_
_atom_site_label
_atom_site_fract_x
_atom_site_fract_y
_atom_site_fract_z
Tm1 0.0000 0.1381 0.2500
Ge1 0.0000 0.4127 0.2500
```

***

Here is a relaxed structure of K3SI from the Materials Project database. Energies are from PBE.

The value obtained for the volume is 1393 Å³ per cell. The formation enthalpy at 0 K comes out at -6.213 eV/f.u. As for the uncorrected energy: -2.8646 eV/atom. For the size of the total moment, the calculation gives 0.00 Bohr magnetons per cell. The MP2020-corrected energy is -3.04 eV/atom.

Geometry as CIF:
```
data_K3SI
_chemical_formula_sum 'K18 S6 I6'
_symmetry_space_group_name_H-M 'P 63 c m'
_symmetry_Int_Tables_number 185
_symmetry_space_group_name_Hall 'P 6c -2'
_cell_length_a 13.9966
_cell_length_b 13.9966
_cell_length_c 8.2133
_cell_angle_alpha 90.00
_cell_angle_beta 90.00
_cell_angle_gamma 120.00
loop_
_atom_site_label
_atom_site_fract_x
_atom_site_fract_y
_atom_site_fract_z
K1 0.0000 0.1555 0.0000
K2 0.1781 0.5113 0.9562
S1 0.0000 0.0000 0.2497
S2 0.3333 0.6667 0.2077
I1 0.0000 0.3335 0.5010
```